#w
{
  "formula": "Hg3AsO4",
  "functional": "GGA-PBE",
  "state": "optimized geometry",
  "lattice_angstrom": [[10.525, 0.000, 0.000], [0.000, 8.826, 0.000], [-2.819, 0.000, 13.720]],
  "species": ["Hg", "Hg", "Hg", "Hg", "Hg", "Hg", "Hg", "Hg", "Hg", "Hg", "Hg", "Hg", "Hg", "Hg", "Hg", "Hg", "Hg", "Hg", "Hg", "Hg", "Hg", "Hg", "Hg", "Hg", "As", "As", "As", "As", "As", "As", "As", "As", "O", "O", "O", "O", "O", "O", "O", "O", "O", "O", "O", "O", "O", "O", "O", "O", "O", "O", "O", "O", "O", "O", "O", "O", "O", "O", "O", "O", "O", "O", "O", "O"],
  "fractional_positions": [[0.010, 0.230, 0.403], [0.010, 0.270, 0.903], [0.016, 0.056, 0.638], [0.016, 0.444, 0.138], [0.228, 0.087, 0.165], [0.228, 0.413, 0.665], [0.311, 0.612, 0.802], [0.311, 0.888, 0.302], [0.410, 0.069, 0.835], [0.410, 0.431, 0.335], [0.445, 0.745, 0.539], [0.445, 0.755, 0.039], [0.555, 0.245, 0.961], [0.555, 0.255, 0.461], [0.590, 0.569, 0.665], [0.590, 0.931, 0.165], [0.689, 0.112, 0.698], [0.689, 0.388, 0.198], [0.772, 0.587, 0.335], [0.772, 0.913, 0.835], [0.984, 0.556, 0.862], [0.984, 0.944, 0.362], [0.990, 0.730, 0.097], [0.990, 0.770, 0.597], [0.133, 0.598, 0.405], [0.133, 0.902, 0.905], [0.339, 0.084, 0.594], [0.339, 0.416, 0.094], [0.661, 0.584, 0.906], [0.661, 0.916, 0.406], [0.867, 0.098, 0.095], [0.867, 0.402, 0.595], [0.007, 0.701, 0.335], [0.007, 0.799, 0.835], [0.125, 0.080, 0.853], [0.125, 0.420, 0.353], [0.128, 0.600, 0.527], [0.128, 0.900, 0.027], [0.208, 0.209, 0.569], [0.208, 0.291, 0.069], [0.283, 0.670, 0.390], [0.283, 0.830, 0.890], [0.324, 0.528, 0.193], [0.324, 0.972, 0.693], [0.333, 0.536, 0.996], [0.333, 0.964, 0.496], [0.478, 0.195, 0.619], [0.478, 0.305, 0.119], [0.522, 0.695, 0.881], [0.522, 0.805, 0.381], [0.667, 0.036, 0.504], [0.667, 0.464, 0.004], [0.676, 0.028, 0.307], [0.676, 0.472, 0.807], [0.717, 0.170, 0.110], [0.717, 0.330, 0.610], [0.792, 0.709, 0.931], [0.792, 0.791, 0.431], [0.872, 0.100, 0.973], [0.872, 0.400, 0.473], [0.875, 0.580, 0.647], [0.875, 0.920, 0.147], [0.993, 0.201, 0.165], [0.993, 0.299, 0.665]],
  "spacegroup": "P2_1/c",
  "crystal_system": "monoclinic"
}

***

#x
{
  "formula": "Hg3AsO4",
  "functional": "GGA-PBE",
  "state": "optimized geometry",
  "lattice_angstrom": [[9.331, 0.000, 0.000], [0.000, 5.295, 0.000], [-8.028, 0.000, 12.317]],
  "species": ["Hg", "Hg", "Hg", "Hg", "Hg", "Hg", "Hg", "Hg", "Hg", "Hg", "Hg", "Hg", "As", "As", "As", "As", "O", "O", "O", "O", "O", "O", "O", "O", "O", "O", "O", "O", "O", "O", "O", "O"],
  "fractional_positions": [[0.037, 0.133, 0.085], [0.037, 0.367, 0.585], [0.271, 0.136, 0.456], [0.271, 0.364, 0.956], [0.454, 0.654, 0.126], [0.454, 0.846, 0.626], [0.546, 0.154, 0.374], [0.546, 0.346, 0.874], [0.729, 0.636, 0.044], [0.729, 0.864, 0.544], [0.963, 0.633, 0.415], [0.963, 0.867, 0.915], [0.229, 0.615, 0.273], [0.229, 0.885, 0.773], [0.771, 0.115, 0.227], [0.771, 0.385, 0.727], [0.047, 0.513, 0.153], [0.047, 0.987, 0.653], [0.223, 0.522, 0.384], [0.223, 0.978, 0.884], [0.237, 0.560, 0.771], [0.237, 0.940, 0.271], [0.407, 0.005, 0.777], [0.407, 0.495, 0.277], [0.593, 0.505, 0.723], [0.593, 0.995, 0.223], [0.763, 0.060, 0.729], [0.763, 0.440, 0.229], [0.777, 0.022, 0.116], [0.777, 0.478, 0.616], [0.953, 0.013, 0.347], [0.953, 0.487, 0.847]],
  "spacegroup": "P2_1/c",
  "crystal_system": "monoclinic"
}

***

Quick one: most stable of them? #w

***

#w
{
  "formula": "In2AsP",
  "functional": "GGA-PBE",
  "state": "optimized geometry",
  "lattice_angstrom": [[2.149, 1.241, 7.024], [-2.149, 1.241, 7.024], [0.000, -2.482, 7.024]],
  "species": ["In", "In", "As", "P"],
  "fractional_positions": [[0.000, 0.000, 0.000], [0.495, 0.495, 0.495], [0.622, 0.622, 0.622], [0.123, 0.123, 0.123]],
  "spacegroup": "R3m",
  "crystal_system": "trigonal"
}

***

#x
{
  "formula": "In2AsP",
  "functional": "GGA-PBE",
  "state": "optimized geometry",
  "lattice_angstrom": [[4.305, 0.000, 0.000], [0.000, 4.305, 0.000], [0.000, 0.000, 6.065]],
  "species": ["In", "In", "As", "P"],
  "fractional_positions": [[0.000, 0.500, 0.242], [0.500, 0.000, 0.758], [0.000, 0.000, 0.500], [0.500, 0.500, 0.000]],
  "spacegroup": "P-4m2",
  "crystal_system": "tetragonal"
}

***

Quick one: most stable of them? #x

***

#w
{
  "formula": "Li7MnAs4",
  "functional": "GGA-PBE",
  "state": "optimized geometry",
  "lattice_angstrom": [[6.170, 0.000, 0.000], [0.000, 6.170, 0.000], [0.000, 0.000, 6.031]],
  "species": ["Li", "Li", "Li", "Li", "Li", "Li", "Li", "Mn", "As", "As", "As", "As"],
  "fractional_positions": [[0.000, 0.000, 0.000], [0.000, 0.500, 0.000], [0.000, 0.500, 0.500], [0.500, 0.000, 0.000], [0.500, 0.000, 0.500], [0.500, 0.500, 0.269], [0.500, 0.500, 0.731], [0.000, 0.000, 0.500], [0.218, 0.218, 0.274], [0.218, 0.782, 0.726], [0.782, 0.218, 0.726], [0.782, 0.782, 0.274]],
  "spacegroup": "P-42m",
  "crystal_system": "tetragonal"
}

***

#x
{
  "formula": "Li7MnAs4",
  "functional": "GGA-PBE",
  "state": "optimized geometry",
  "lattice_angstrom": [[8.585, 0.000, 0.000], [0.000, 8.585, 0.000], [0.000, 0.000, 6.036]],
  "species": ["Li", "Li", "Li", "Li", "Li", "Li", "Li", "Li", "Li", "Li", "Li", "Li", "Li", "Li", "Mn", "Mn", "As", "As", "As", "As", "As", "As", "As", "As"],
  "fractional_positions": [[0.005, 0.505, 0.250], [0.005, 0.995, 0.250], [0.250, 0.250, 0.004], [0.250, 0.250, 0.504], [0.250, 0.750, 0.250], [0.495, 0.505, 0.250], [0.495, 0.995, 0.250], [0.505, 0.005, 0.750], [0.505, 0.495, 0.750], [0.750, 0.250, 0.750], [0.750, 0.750, 0.496], [0.750, 0.750, 0.996], [0.995, 0.005, 0.750], [0.995, 0.495, 0.750], [0.250, 0.750, 0.750], [0.750, 0.250, 0.250], [0.022, 0.750, 0.992], [0.250, 0.522, 0.508], [0.250, 0.978, 0.508], [0.478, 0.750, 0.992], [0.522, 0.250, 0.008], [0.750, 0.022, 0.492], [0.750, 0.478, 0.492], [0.978, 0.250, 0.008]],
  "spacegroup": "P4_2/nmc",
  "crystal_system": "tetragonal"
}

***

#y
{
  "formula": "Li7MnAs4",
  "functional": "GGA-PBE",
  "state": "optimized geometry",
  "lattice_angstrom": [[6.034, 0.000, 0.000], [0.017, 8.447, 0.000], [0.044, 0.005, 8.470]],
  "species": ["Li", "Li", "Li", "Li", "Li", "Li", "Li", "Li", "Li", "Li", "Li", "Li", "Li", "Li", "Mn", "Mn", "As", "As", "As", "As", "As", "As", "As", "As"],
  "fractional_positions": [[0.000, 0.000, 0.000], [0.000, 0.003, 0.474], [0.000, 0.240, 0.236], [0.001, 0.477, 0.477], [0.001, 0.480, 0.997], [0.062, 0.236, 0.737], [0.428, 0.756, 0.234], [0.499, 0.506, 0.493], [0.499, 0.741, 0.735], [0.500, 0.503, 0.975], [0.500, 0.980, 0.498], [0.500, 0.983, 0.970], [0.564, 0.244, 0.728], [0.931, 0.739, 0.244], [0.000, 0.742, 0.734], [0.498, 0.241, 0.238], [0.212, 0.741, 0.502], [0.213, 0.741, 0.970], [0.287, 0.242, 0.003], [0.288, 0.242, 0.467], [0.713, 0.008, 0.235], [0.713, 0.473, 0.235], [0.786, 0.507, 0.736], [0.786, 0.977, 0.736]],
  "spacegroup": "P1",
  "crystal_system": "triclinic"
}

***

Quick one: most stable of them? #y

***

#w
{
  "formula": "LiNbAs2",
  "functional": "GGA-PBE",
  "state": "optimized geometry",
  "lattice_angstrom": [[4.611, -1.753, 0.000], [4.611, 1.753, 0.000], [-2.580, 0.000, 27.174]],
  "species": ["Li", "Li", "Li", "Li", "Li", "Li", "Nb", "Nb", "Nb", "Nb", "Nb", "Nb", "As", "As", "As", "As", "As", "As", "As", "As", "As", "As", "As", "As"],
  "fractional_positions": [[0.000, 0.000, 0.000], [0.043, 0.043, 0.259], [0.275, 0.275, 0.833], [0.393, 0.393, 0.081], [0.648, 0.648, 0.914], [0.695, 0.695, 0.170], [0.012, 0.012, 0.506], [0.330, 0.330, 0.589], [0.374, 0.374, 0.342], [0.648, 0.648, 0.671], [0.696, 0.696, 0.423], [0.967, 0.967, 0.756], [0.047, 0.047, 0.603], [0.093, 0.093, 0.355], [0.105, 0.105, 0.101], [0.291, 0.291, 0.976], [0.359, 0.359, 0.228], [0.367, 0.367, 0.687], [0.414, 0.414, 0.438], [0.678, 0.678, 0.766], [0.700, 0.700, 0.037], [0.729, 0.729, 0.520], [0.736, 0.736, 0.279], [0.992, 0.992, 0.855]],
  "spacegroup": "Cm",
  "crystal_system": "monoclinic"
}

***

#x
{
  "formula": "LiNbAs2",
  "functional": "GGA-PBE",
  "state": "optimized geometry",
  "lattice_angstrom": [[3.992, 0.000, 0.000], [0.000, 3.992, 0.000], [0.000, 0.000, 6.436]],
  "species": ["Li", "Nb", "As", "As"],
  "fractional_positions": [[0.000, 0.000, 0.000], [0.500, 0.500, 0.500], [0.000, 0.500, 0.269], [0.500, 0.000, 0.731]],
  "spacegroup": "P-4m2",
  "crystal_system": "tetragonal"
}

***

Quick one: most stable of them? #w

***

#w
{
  "formula": "LiZr2As3O12",
  "functional": "GGA-PBE",
  "state": "optimized geometry",
  "lattice_angstrom": [[9.309, 0.000, 0.000], [0.000, 9.340, 0.000], [-9.166, 0.000, 13.011]],
  "species": ["Li", "Li", "Li", "Li", "Zr", "Zr", "Zr", "Zr", "Zr", "Zr", "Zr", "Zr", "As", "As", "As", "As", "As", "As", "As", "As", "As", "As", "As", "As", "O", "O", "O", "O", "O", "O", "O", "O", "O", "O", "O", "O", "O", "O", "O", "O", "O", "O", "O", "O", "O", "O", "O", "O", "O", "O", "O", "O", "O", "O", "O", "O", "O", "O", "O", "O", "O", "O", "O", "O", "O", "O", "O", "O", "O", "O", "O", "O"],
  "fractional_positions": [[0.025, 0.217, 0.327], [0.025, 0.283, 0.827], [0.975, 0.717, 0.173], [0.975, 0.783, 0.673], [0.143, 0.539, 0.388], [0.143, 0.961, 0.888], [0.370, 0.522, 0.121], [0.370, 0.978, 0.621], [0.630, 0.022, 0.379], [0.630, 0.478, 0.879], [0.857, 0.039, 0.112], [0.857, 0.461, 0.612], [0.033, 0.103, 0.644], [0.033, 0.397, 0.144], [0.245, 0.622, 0.646], [0.245, 0.878, 0.146], [0.460, 0.248, 0.991], [0.460, 0.252, 0.491], [0.540, 0.748, 0.509], [0.540, 0.752, 0.009], [0.755, 0.122, 0.854], [0.755, 0.378, 0.354], [0.967, 0.603, 0.856], [0.967, 0.897, 0.356], [0.006, 0.735, 0.319], [0.006, 0.765, 0.819], [0.070, 0.524, 0.234], [0.070, 0.976, 0.734], [0.078, 0.597, 0.661], [0.078, 0.903, 0.161], [0.149, 0.542, 0.967], [0.149, 0.958, 0.467], [0.170, 0.580, 0.522], [0.170, 0.920, 0.022], [0.211, 0.116, 0.641], [0.211, 0.384, 0.141], [0.253, 0.172, 0.919], [0.253, 0.328, 0.419], [0.287, 0.698, 0.165], [0.287, 0.802, 0.665], [0.384, 0.621, 0.439], [0.384, 0.879, 0.939], [0.418, 0.515, 0.726], [0.418, 0.985, 0.226], [0.466, 0.138, 0.576], [0.466, 0.362, 0.076], [0.493, 0.172, 0.408], [0.493, 0.328, 0.908], [0.507, 0.672, 0.092], [0.507, 0.828, 0.592], [0.534, 0.638, 0.924], [0.534, 0.862, 0.424], [0.582, 0.015, 0.774], [0.582, 0.485, 0.274], [0.616, 0.121, 0.061], [0.616, 0.379, 0.561], [0.713, 0.198, 0.335], [0.713, 0.302, 0.835], [0.747, 0.672, 0.581], [0.747, 0.828, 0.081], [0.789, 0.616, 0.859], [0.789, 0.884, 0.359], [0.830, 0.080, 0.978], [0.830, 0.420, 0.478], [0.851, 0.042, 0.533], [0.851, 0.458, 0.033], [0.922, 0.097, 0.839], [0.922, 0.403, 0.339], [0.930, 0.024, 0.266], [0.930, 0.476, 0.766], [0.994, 0.235, 0.181], [0.994, 0.265, 0.681]],
  "spacegroup": "P2_1/c",
  "crystal_system": "monoclinic"
}

***

#x
{
  "formula": "LiZr2As3O12",
  "functional": "GGA-PBE",
  "state": "optimized geometry",
  "lattice_angstrom": [[4.667, 2.695, 7.532], [-4.667, 2.695, 7.532], [0.000, -5.389, 7.532]],
  "species": ["Li", "Li", "Zr", "Zr", "Zr", "Zr", "As", "As", "As", "As", "As", "As", "O", "O", "O", "O", "O", "O", "O", "O", "O", "O", "O", "O", "O", "O", "O", "O", "O", "O", "O", "O", "O", "O", "O", "O"],
  "fractional_positions": [[0.000, 0.000, 0.000], [0.500, 0.500, 0.500], [0.140, 0.140, 0.140], [0.360, 0.360, 0.360], [0.640, 0.640, 0.640], [0.860, 0.860, 0.860], [0.043, 0.750, 0.457], [0.250, 0.543, 0.957], [0.457, 0.043, 0.750], [0.543, 0.957, 0.250], [0.750, 0.457, 0.043], [0.957, 0.250, 0.543], [0.003, 0.185, 0.377], [0.054, 0.918, 0.260], [0.082, 0.740, 0.946], [0.123, 0.315, 0.497], [0.185, 0.377, 0.003], [0.240, 0.582, 0.446], [0.260, 0.054, 0.918], [0.315, 0.497, 0.123], [0.377, 0.003, 0.185], [0.418, 0.554, 0.760], [0.446, 0.240, 0.582], [0.497, 0.123, 0.315], [0.503, 0.877, 0.685], [0.554, 0.760, 0.418], [0.582, 0.446, 0.240], [0.623, 0.997, 0.815], [0.685, 0.503, 0.877], [0.740, 0.946, 0.082], [0.760, 0.418, 0.554], [0.815, 0.623, 0.997], [0.877, 0.685, 0.503], [0.918, 0.260, 0.054], [0.946, 0.082, 0.740], [0.997, 0.815, 0.623]],
  "spacegroup": "R-3c",
  "crystal_system": "trigonal"
}

***

Quick one: most stable of them? #w

***

#w
{
  "formula": "Mg3As2",
  "functional": "GGA-PBE",
  "state": "optimized geometry",
  "lattice_angstrom": [[4.300, 0.000, 0.000], [-2.150, 3.724, 0.000], [0.000, 0.000, 6.770]],
  "species": ["Mg", "Mg", "Mg", "As", "As"],
  "fractional_positions": [[0.000, 0.000, 0.000], [0.333, 0.667, 0.641], [0.667, 0.333, 0.359], [0.333, 0.667, 0.230], [0.667, 0.333, 0.770]],
  "spacegroup": "P-3m1",
  "crystal_system": "trigonal"
}

***

#x
{
  "formula": "Mg3As2",
  "functional": "GGA-PBE",
  "state": "optimized geometry",
  "lattice_angstrom": [[6.220, 0.000, 0.000], [0.000, 6.220, 0.000], [0.000, 0.000, 6.220]],
  "species": ["Mg", "Mg", "Mg", "Mg", "Mg", "Mg", "As", "As", "As", "As"],
  "fractional_positions": [[0.250, 0.250, 0.750], [0.250, 0.750, 0.250], [0.250, 0.750, 0.750], [0.750, 0.250, 0.250], [0.750, 0.250, 0.750], [0.750, 0.750, 0.250], [0.000, 0.000, 0.000], [0.000, 0.500, 0.500], [0.500, 0.000, 0.500], [0.500, 0.500, 0.000]],
  "spacegroup": "Pn-3m",
  "crystal_system": "cubic"
}

***

Quick one: most stable of them? #w